(1)
Ag2SN2O2 (PBE, relaxed); E_tot = -140.6 eV for the cell shown; V = 15.96 Å³/atom; space-group type = P2_1/c (14); formation enthalpy at 0 K = -22 meV per atom; crystal system = monoclinic
1.0
7.593 0.000 0.000
0.000 5.498 0.000
-0.664 0.000 10.706
Ag S N O
8 4 8 8
Cartesian
-0.095 1.038 3.477 Ag
-0.427 1.711 8.830 Ag
1.997 0.604 5.939 Ag
2.329 2.145 0.587 Ag
4.601 3.353 10.119 Ag
4.933 4.894 4.766 Ag
7.356 3.787 1.875 Ag
7.024 4.460 7.228 Ag
2.187 3.086 3.815 S
1.855 5.161 9.168 S
5.075 0.337 1.537 S
4.743 2.412 6.890 S
1.695 3.222 2.315 N
1.364 5.025 7.668 N
1.467 1.163 9.460 N
1.799 1.586 4.108 N
5.131 3.912 6.598 N
5.463 4.335 1.245 N
5.566 0.473 3.038 N
5.234 2.276 8.390 N
1.477 4.052 4.702 O
1.145 4.195 10.054 O
3.597 0.493 1.466 O
3.265 2.256 6.819 O
3.665 3.242 3.887 O
3.333 5.006 9.240 O
5.785 1.303 0.651 O
5.453 1.446 6.004 O


(2)
AgSNO3 (PBE, relaxed); E_tot = -177.8 eV for the cell shown; V = 14.66 Å³/atom; space-group type = P31c (159); formation enthalpy at 0 K = -257 meV per atom; crystal system = trigonal
1.0
10.775 0.000 0.000
-5.387 9.331 0.000
0.000 0.000 5.248
Ag S N O
6 6 6 18
Cartesian
-1.497 4.030 0.000 Ag
-1.149 8.613 0.000 Ag
4.239 0.718 2.624 Ag
2.646 6.020 0.000 Ag
3.890 5.301 2.624 Ag
8.034 3.312 2.624 Ag
-1.590 6.584 2.680 S
0.480 4.663 2.680 S
3.798 2.747 0.056 S
1.109 7.416 2.680 S
6.497 1.915 0.056 S
5.868 4.669 0.056 S
-1.047 5.105 3.184 N
-0.442 7.685 3.184 N
1.490 5.872 3.184 N
4.945 1.646 0.560 N
4.340 4.226 0.560 N
6.877 3.460 0.560 N
-0.804 2.059 0.203 O
-2.791 6.887 3.399 O
-3.202 8.998 0.203 O
-1.650 6.563 1.210 O
2.186 0.333 2.827 O
0.819 3.471 3.399 O
0.529 4.621 1.210 O
2.596 2.445 0.775 O
3.737 2.768 3.834 O
1.121 7.479 1.210 O
1.972 8.305 3.399 O
6.509 1.852 3.834 O
7.360 1.026 0.775 O
4.006 7.605 0.203 O
5.916 4.711 3.834 O
4.583 7.272 2.827 O
6.206 5.860 0.775 O
9.394 1.726 2.827 O


(3)
Ag4SN2O2 (PBE, relaxed); E_tot = -166.4 eV for the cell shown; V = 15.79 Å³/atom; space-group type = Pna2_1 (33); formation enthalpy at 0 K = -104 meV per atom; crystal system = orthorhombic
1.0
10.522 0.000 0.000
0.000 5.874 0.000
0.000 0.000 9.198
Ag S N O
16 4 8 8
Cartesian
0.573 1.174 0.000 Ag
1.063 3.496 7.255 Ag
1.475 5.435 2.438 Ag
2.026 3.064 4.066 Ag
3.235 0.127 8.665 Ag
3.786 2.498 7.037 Ag
4.198 0.559 2.656 Ag
4.688 4.111 4.599 Ag
5.834 1.763 0.000 Ag
6.324 5.315 7.255 Ag
6.736 3.376 2.438 Ag
7.287 5.747 4.066 Ag
8.496 2.810 8.665 Ag
9.047 0.439 7.037 Ag
9.459 2.378 2.656 Ag
9.949 4.700 4.599 Ag
1.484 0.577 6.098 S
3.777 3.514 1.499 S
6.745 2.360 6.098 S
9.038 5.297 1.499 S
0.371 5.367 6.460 N
1.901 1.445 7.453 N
3.360 4.382 2.855 N
4.890 2.430 1.861 N
5.632 3.444 6.460 N
7.162 1.492 7.453 N
8.621 4.429 2.855 N
10.151 0.507 1.861 N
0.853 1.550 5.118 O
2.548 2.915 0.951 O
2.713 5.851 5.550 O
4.408 4.487 0.519 O
6.114 1.387 5.118 O
7.809 0.022 0.951 O
7.974 2.959 5.550 O
9.669 4.324 0.519 O


(4)
AgRu2N3 (PBE, relaxed); E_tot = -129.7 eV for the cell shown; V = 13.74 Å³/atom; space-group type = P3_121 (152); formation enthalpy at 0 K = 347 meV per atom; crystal system = trigonal
1.0
3.233 0.000 0.000
-1.616 2.800 0.000
0.000 0.000 27.332
Ag Ru N
3 6 9
Cartesian
-1.012 1.752 4.555 Ag
0.605 1.048 13.666 Ag
2.023 0.000 22.777 Ag
-1.024 1.991 16.452 Ru
0.404 0.918 25.562 Ru
0.593 0.809 1.769 Ru
0.620 2.691 7.341 Ru
2.236 0.109 10.880 Ru
2.020 1.882 19.991 Ru
-1.294 2.241 18.221 N
-1.000 1.772 6.686 N
0.323 0.559 0.000 N
0.582 1.048 15.797 N
0.616 1.028 11.535 N
0.418 2.780 24.908 N
2.034 0.019 20.645 N
2.588 0.000 9.111 N
2.199 1.752 2.424 N


(5)
AgWS4N (PBE, relaxed); E_tot = -73.1 eV for the cell shown; V = 27.58 Å³/atom; space-group type = I-4 (82); formation enthalpy at 0 K = 249 meV per atom; crystal system = tetragonal
1.0
8.087 0.000 0.000
0.000 8.087 0.000
0.000 0.000 5.903
Ag W S N
2 2 8 2
Cartesian
0.000 0.000 0.000 Ag
4.044 4.044 2.952 Ag
0.000 0.000 2.952 W
4.044 4.044 0.000 W
0.952 1.575 4.198 S
1.575 7.136 1.705 S
2.469 4.995 4.657 S
3.092 2.469 1.247 S
4.995 5.618 1.247 S
5.618 3.092 4.657 S
6.513 0.952 1.705 S
7.136 6.513 4.198 S
0.000 4.044 1.476 N
4.044 0.000 4.428 N


(6)
AgSbN2 (PBE, relaxed); E_tot = -64.8 eV for the cell shown; V = 14.52 Å³/atom; space-group type = R-3m (166); formation enthalpy at 0 K = 327 meV per atom; crystal system = trigonal
1.0
3.231 0.000 0.000
-1.616 2.798 0.000
0.000 0.000 19.270
Ag Sb N
3 3 6
Cartesian
0.000 0.000 0.000 Ag
0.000 1.866 12.847 Ag
1.616 0.933 6.423 Ag
0.000 0.000 9.635 Sb
0.000 1.866 3.212 Sb
1.616 0.933 16.058 Sb
0.000 0.000 2.125 N
0.000 0.000 17.145 N
0.000 1.866 10.722 N
0.000 1.866 14.971 N
1.616 0.933 4.298 N
1.616 0.933 8.548 N


(7)
Si2AgN3 (PBE, relaxed); E_tot = -124.0 eV for the cell shown; V = 10.11 Å³/atom; space-group type = P3_121 (152); distance to the lowest polymorph of the same formula = 189 meV/atom; formation enthalpy at 0 K = -621 meV per atom; crystal system = trigonal
1.0
2.857 0.000 0.000
-1.428 2.474 0.000
0.000 0.000 25.745
Si Ag N
6 3 9
Cartesian
-0.409 0.820 9.910 Si
-0.514 2.418 1.328 Si
0.915 0.056 15.835 Si
0.923 1.710 18.492 Si
1.019 1.654 7.253 Si
2.351 0.764 24.416 Si
-0.501 0.868 4.291 Ag
1.003 0.000 21.454 Ag
0.927 1.606 12.872 Ag
-0.294 0.510 17.163 N
-0.446 0.850 6.481 N
0.589 0.000 8.582 N
-0.469 2.435 23.644 N
0.959 0.039 19.264 N
0.915 1.663 15.062 N
0.982 1.624 10.683 N
1.134 1.964 0.000 N
2.344 0.811 2.101 N


(8)
Si2AgN3 (PBE, relaxed); E_tot = -84.9 eV for the cell shown; V = 10.96 Å³/atom; space-group type = Cmc2_1 (36); distance to the lowest polymorph of the same formula = 0 meV/atom; formation enthalpy at 0 K = -810 meV per atom; crystal system = orthorhombic
1.0
4.769 -2.777 0.000
4.769 2.777 0.000
0.000 0.000 4.964
Si Ag N
4 2 6
Cartesian
1.638 0.836 0.000 Si
1.638 -0.836 2.482 Si
7.901 0.836 0.000 Si
7.901 -0.836 2.482 Si
4.769 0.753 0.012 Ag
4.769 -0.753 2.494 Ag
2.062 0.723 1.726 N
4.769 1.568 2.206 N
2.062 -0.723 4.208 N
7.477 0.723 1.726 N
4.769 -1.568 4.688 N
7.477 -0.723 4.208 N


(9)
Zn4AgN3 (PBE, relaxed); E_tot = -121.2 eV for the cell shown; V = 14.27 Å³/atom; space-group type = P1 (1); formation enthalpy at 0 K = 186 meV per atom; crystal system = triclinic
1.0
6.703 0.000 0.000
3.048 6.068 0.000
1.309 -0.192 11.223
Zn Ag N
16 4 12
Cartesian
0.000 0.000 0.000 Zn
1.783 2.326 4.826 Zn
2.853 2.184 10.737 Zn
3.519 2.305 7.919 Zn
4.937 5.036 6.379 Zn
3.326 1.991 2.133 Zn
4.639 4.483 2.200 Zn
5.006 2.686 4.345 Zn
4.236 -0.089 8.993 Zn
6.661 5.644 4.245 Zn
6.190 1.889 10.746 Zn
8.292 4.376 6.570 Zn
6.683 1.676 2.258 Zn
8.455 4.291 2.366 Zn
7.750 1.119 8.003 Zn
9.876 5.695 4.315 Zn
5.803 3.426 8.559 Ag
5.545 1.190 6.416 Ag
7.660 4.193 11.194 Ag
9.606 4.679 9.296 Ag
3.117 5.659 1.815 N
1.584 2.580 1.441 N
4.913 4.654 4.355 N
3.435 1.488 4.019 N
4.510 1.818 9.573 N
6.602 5.051 7.440 N
5.090 2.718 1.394 N
6.681 1.599 4.309 N
8.252 4.493 4.375 N
7.942 1.213 9.957 N
9.905 5.544 7.245 N
8.724 2.403 6.833 N


(10)
ZnAgN (PBE, relaxed); E_tot = -11.5 eV for the cell shown; V = 15.18 Å³/atom; space-group type = P-6m2 (187); formation enthalpy at 0 K = 204 meV per atom; crystal system = hexagonal
1.0
3.469 0.000 0.000
-1.735 3.004 0.000
0.000 0.000 4.369
Zn Ag N
1 1 1
Cartesian
0.000 0.000 0.000 Zn
1.735 1.001 2.185 Ag
1.735 1.001 0.000 N


(11)
ZnAgN (PBE, relaxed); E_tot = -45.2 eV for the cell shown; V = 16.19 Å³/atom; space-group type = Cmce (64); formation enthalpy at 0 K = 260 meV per atom; crystal system = orthorhombic
1.0
4.221 -3.553 0.000
4.221 3.553 0.000
0.000 0.000 6.478
Zn Ag N
4 4 4
Cartesian
4.221 2.375 5.649 Zn
4.221 1.178 2.410 Zn
4.221 -1.178 4.068 Zn
4.221 -2.375 0.829 Zn
2.111 0.666 4.858 Ag
2.111 -0.666 1.619 Ag
6.332 0.666 4.858 Ag
6.332 -0.666 1.619 Ag
4.221 2.673 1.152 N
4.221 0.880 4.391 N
4.221 -0.880 2.087 N
4.221 -2.673 5.326 N


(12)
Zr2AgN3 (PBE, relaxed); E_tot = -153.6 eV for the cell shown; V = 14.37 Å³/atom; space-group type = P3_121 (152); formation enthalpy at 0 K = -1223 meV per atom; crystal system = trigonal
1.0
3.344 0.000 0.000
-1.672 2.896 0.000
0.000 0.000 26.709
Zr Ag N
6 3 9
Cartesian
-1.096 1.959 11.910 Zr
0.524 0.967 20.813 Zr
0.576 0.937 5.896 Zr
0.572 2.866 3.007 Zr
2.244 0.030 14.800 Zr
2.196 1.929 23.703 Zr
-1.124 1.947 17.806 Ag
0.547 0.948 0.000 Ag
2.249 0.000 8.903 Ag
-1.098 1.901 4.452 N
-1.099 1.960 15.699 N
0.524 0.964 24.602 N
0.573 0.935 2.107 N
0.574 0.994 13.355 N
2.195 0.000 22.258 N
0.575 2.867 6.796 N
2.247 0.028 11.010 N
2.195 1.932 19.913 N


(13)
NaAgO (PBE, relaxed); E_tot = -46.2 eV for the cell shown; V = 18.12 Å³/atom; space-group type = I-4m2 (119); formation enthalpy at 0 K = -1046 meV per atom; crystal system = tetragonal
1.0
-4.817 4.817 2.343
4.817 -4.817 2.343
4.817 4.817 -2.343
Na Ag O
4 4 4
Cartesian
4.817 3.273 -1.157 Na
0.000 1.544 1.186 Na
3.273 4.817 1.157 Na
1.544 0.000 3.500 Na
3.313 -1.504 1.172 Ag
6.321 -1.504 1.172 Ag
3.313 1.504 1.172 Ag
6.321 1.504 1.172 Ag
2.975 4.817 -1.191 O
1.842 0.000 1.152 O
4.817 2.975 1.191 O
0.000 1.842 3.534 O


(14)
NaAgO3 (PBE, relaxed); E_tot = -19.0 eV for the cell shown; V = 13.91 Å³/atom; space-group type = Pm-3m (221); formation enthalpy at 0 K = -413 meV per atom; crystal system = cubic
1.0
4.112 0.000 0.000
0.000 4.112 0.000
0.000 0.000 4.112
Na Ag O
1 1 3
Cartesian
0.000 0.000 0.000 Na
2.056 2.056 2.056 Ag
0.000 2.056 2.056 O
2.056 0.000 2.056 O
2.056 2.056 0.000 O


(15)
NaAg3O2 (PBE, relaxed); E_tot = -45.3 eV for the cell shown; V = 16.74 Å³/atom; space-group type = Ibam (72); formation enthalpy at 0 K = -714 meV per atom; crystal system = orthorhombic
1.0
-3.130 5.296 3.029
3.130 -5.296 3.029
3.130 5.296 -3.029
Na Ag O
2 6 4
Cartesian
0.000 0.000 1.515 Na
0.000 0.000 4.544 Na
1.565 2.648 -1.515 Ag
1.565 -2.648 1.515 Ag
3.130 0.000 0.000 Ag
-1.565 2.648 1.515 Ag
0.000 5.296 0.000 Ag
1.565 2.648 1.515 Ag
1.328 1.168 0.000 O
1.328 -1.168 3.029 O
1.802 6.464 0.000 O
1.802 4.128 3.029 O


(16)
NaAgO (PBE, relaxed); E_tot = -46.2 eV for the cell shown; V = 18.00 Å³/atom; space-group type = I4/mmm (139); formation enthalpy at 0 K = -1047 meV per atom; crystal system = tetragonal
1.0
-4.799 4.799 2.345
4.799 -4.799 2.345
4.799 4.799 -2.345
Na Ag O
4 4 4
Cartesian
3.261 0.000 0.000 Na
6.337 0.000 0.000 Na
0.000 3.261 0.000 Na
0.000 6.337 0.000 Na
3.289 3.289 0.000 Ag
1.510 -1.510 2.345 Ag
-1.510 1.510 2.345 Ag
1.510 1.510 2.345 Ag
4.799 1.834 0.000 O
1.834 4.799 0.000 O
2.965 0.000 2.345 O
0.000 2.965 2.345 O


(17)
NaAgSO5 (PBE, relaxed); E_tot = -79.6 eV for the cell shown; V = 17.04 Å³/atom; space-group type = P-1 (2); formation enthalpy at 0 K = -947 meV per atom; crystal system = triclinic
1.0
5.456 0.000 0.000
0.200 6.004 0.000
2.356 -0.052 8.324
Na Ag S O
2 2 2 10
Cartesian
0.854 1.608 1.768 Na
7.158 4.343 6.557 Na
2.958 1.466 4.424 Ag
5.054 4.485 3.900 Ag
1.940 4.516 3.159 S
6.071 1.435 5.165 S
3.064 1.564 7.068 O
3.453 0.555 7.724 O
2.303 5.837 2.537 O
2.861 4.344 4.404 O
2.238 3.390 2.214 O
5.774 2.561 6.110 O
5.151 1.608 3.920 O
5.709 0.114 5.787 O
4.558 5.396 0.600 O
4.948 4.388 1.256 O